Record 1
A geometry-optimized Co5Sn2As2 structure. Source: Materials Project, functional PBE-GGA.

Values from the calculation:
Its energy of formation from the pure elements is 0.031 eV/atom. As for the spin magnetization: 0.53 μB per atom. The calculation puts the uncorrected energy at -52.60 eV per cell.

Cell lengths 4.081, 4.081, 9.628 Å; angles 90.00, 90.00, 120.00 degrees
Fractional positions:
1 Co 0.000 0.000 0.000
2 Co 0.333 0.667 0.132
3 Co 0.333 0.667 0.369
4 Co 0.333 0.667 0.631
5 Co 0.333 0.667 0.868
6 Sn 0.667 0.333 0.000
7 Sn 0.667 0.333 0.500
8 As 0.000 0.000 0.253
9 As 0.000 0.000 0.747

Record 2
A geometry-optimized SrCo2As2 structure. Source: Materials Project, functional PBE-GGA.

Values from the calculation:
Its energy of formation from the pure elements is -0.616 eV/atom. The calculation puts the uncorrected energy at -28.30 eV per cell.

Cell lengths 6.489, 6.489, 6.489 Å; angles 144.26, 144.26, 51.43 degrees
Fractional positions:
1 Sr 0.000 0.000 0.000
2 Co 0.250 0.750 0.500
3 Co 0.750 0.250 0.500
4 As 0.355 0.355 0.000
5 As 0.645 0.645 0.000

Record 3
A geometry-optimized TaCoAs structure. Source: Materials Project, functional PBE-GGA.

Values from the calculation:
Its energy of formation from the pure elements is -0.420 eV/atom. The calculation puts the uncorrected energy at -99.54 eV per cell.

Cell lengths 6.287, 3.749, 7.151 Å; angles 90.00, 90.00, 90.00 degrees
Fractional positions:
1 Ta 0.022 0.250 0.171
2 Ta 0.478 0.750 0.671
3 Ta 0.522 0.250 0.329
4 Ta 0.978 0.750 0.829
5 Co 0.158 0.250 0.566
6 Co 0.342 0.750 0.066
7 Co 0.658 0.250 0.934
8 Co 0.842 0.750 0.434
9 As 0.217 0.750 0.379
10 As 0.283 0.250 0.879
11 As 0.717 0.750 0.121
12 As 0.783 0.250 0.621

Record 4
A geometry-optimized YCo5As3 structure. Source: Materials Project, functional PBE-GGA.

Values from the calculation:
Its energy of formation from the pure elements is -0.516 eV/atom. The calculation puts the uncorrected energy at -242.52 eV per cell.

Cell lengths 12.211, 3.783, 10.734 Å; angles 90.00, 90.00, 90.00 degrees
Fractional positions:
1 Y 0.203 0.250 0.081
2 Y 0.297 0.750 0.581
3 Y 0.703 0.250 0.419
4 Y 0.797 0.750 0.919
5 Co 0.009 0.750 0.713
6 Co 0.012 0.750 0.093
7 Co 0.069 0.750 0.469
8 Co 0.177 0.250 0.783
9 Co 0.197 0.250 0.383
10 Co 0.303 0.750 0.883
11 Co 0.323 0.750 0.283
12 Co 0.431 0.250 0.969
13 Co 0.488 0.250 0.593
14 Co 0.491 0.250 0.213
15 Co 0.509 0.750 0.787
16 Co 0.512 0.750 0.407
17 Co 0.569 0.750 0.031
18 Co 0.677 0.250 0.717
19 Co 0.697 0.250 0.117
20 Co 0.803 0.750 0.617
21 Co 0.823 0.750 0.217
22 Co 0.931 0.250 0.531
23 Co 0.988 0.250 0.907
24 Co 0.991 0.250 0.287
25 As 0.109 0.750 0.899
26 As 0.113 0.250 0.584
27 As 0.129 0.750 0.269
28 As 0.371 0.250 0.769
29 As 0.387 0.750 0.084
30 As 0.391 0.250 0.399
31 As 0.609 0.750 0.601
32 As 0.613 0.250 0.916
33 As 0.629 0.750 0.231
34 As 0.871 0.250 0.731
35 As 0.887 0.750 0.416
36 As 0.891 0.250 0.101

Record 5
A geometry-optimized Y2Co12As7 structure. Source: Materials Project, functional PBE-GGA.

Values from the calculation:
Its energy of formation from the pure elements is -0.466 eV/atom. As for the spin magnetization: 0.28 μB per atom. The calculation puts the uncorrected energy at -140.62 eV per cell.

Cell lengths 9.361, 9.361, 3.738 Å; angles 90.00, 90.00, 120.00 degrees
Fractional positions:
1 Y 0.000 0.000 0.000
2 Y 0.333 0.667 0.500
3 Co 0.040 0.764 0.500
4 Co 0.100 0.383 0.000
5 Co 0.236 0.276 0.500
6 Co 0.283 0.900 0.000
7 Co 0.442 0.235 0.000
8 Co 0.509 0.056 0.500
9 Co 0.547 0.491 0.500
10 Co 0.617 0.717 0.000
11 Co 0.724 0.960 0.500
12 Co 0.765 0.208 0.000
13 Co 0.792 0.558 0.000
14 Co 0.944 0.453 0.500
15 As 0.070 0.623 0.000
16 As 0.257 0.039 0.500
17 As 0.377 0.448 0.000
18 As 0.552 0.930 0.000
19 As 0.667 0.333 0.500
20 As 0.782 0.743 0.500
21 As 0.961 0.218 0.500

Record 6
A geometry-optimized Zr6CoAs2 structure. Source: Materials Project, functional PBE-GGA.

Values from the calculation:
Its energy of formation from the pure elements is -0.730 eV/atom. The calculation puts the uncorrected energy at -74.28 eV per cell.

Cell lengths 7.542, 7.542, 3.581 Å; angles 90.00, 90.00, 120.00 degrees
Fractional positions:
1 Zr 0.000 0.247 0.000
2 Zr 0.000 0.586 0.500
3 Zr 0.247 0.000 0.000
4 Zr 0.414 0.414 0.500
5 Zr 0.586 0.000 0.500
6 Zr 0.753 0.753 0.000
7 Co 0.000 0.000 0.500
8 As 0.333 0.667 0.000
9 As 0.667 0.333 0.000

Record 7
A geometry-optimized Cr3As structure. Source: Materials Project, functional PBE-GGA.

Values from the calculation:
Its energy of formation from the pure elements is 0.140 eV/atom. As for the spin magnetization: 0.27 μB per atom. The calculation puts the uncorrected energy at -33.06 eV per cell.

Cell lengths 4.083, 4.083, 4.083 Å; angles 60.00, 60.00, 60.00 degrees
Fractional positions:
1 Cr 0.000 0.000 0.000
2 Cr 0.250 0.250 0.250
3 Cr 0.750 0.750 0.750
4 As 0.500 0.500 0.500

Record 8
A geometry-optimized CrAs2 structure. Source: Materials Project, functional PBE-GGA.

Values from the calculation:
Its energy of formation from the pure elements is -0.121 eV/atom. The calculation puts the uncorrected energy at -38.67 eV per cell.

Cell lengths 4.744, 4.744, 7.426 Å; angles 117.93, 117.93, 39.76 degrees
Fractional positions:
1 Cr 0.153 0.153 0.200
2 Cr 0.847 0.847 0.800
3 As 0.150 0.150 0.537
4 As 0.404 0.404 0.105
5 As 0.596 0.596 0.895
6 As 0.850 0.850 0.463

Record 9
A geometry-optimized Cr3As structure. Source: Materials Project, functional PBE-GGA.

Values from the calculation:
Its energy of formation from the pure elements is 0.115 eV/atom. As for the spin magnetization: 0.22 μB per atom. The calculation puts the uncorrected energy at -33.16 eV per cell.

Cell lengths 4.771, 4.771, 4.771 Å; angles 137.33, 137.33, 61.93 degrees
Fractional positions:
1 Cr 0.000 0.000 0.000
2 Cr 0.250 0.750 0.500
3 Cr 0.750 0.250 0.500
4 As 0.500 0.500 0.000

Record 10
A geometry-optimized Cr3As structure. Source: Materials Project, functional PBE-GGA.

Values from the calculation:
Its energy of formation from the pure elements is -0.074 eV/atom. The calculation puts the uncorrected energy at -67.83 eV per cell.

Cell lengths 4.579, 4.579, 4.579 Å; angles 90.00, 90.00, 90.00 degrees
Fractional positions:
1 Cr 0.000 0.250 0.500
2 Cr 0.000 0.750 0.500
3 Cr 0.250 0.500 0.000
4 Cr 0.500 0.000 0.250
5 Cr 0.500 0.000 0.750
6 Cr 0.750 0.500 0.000
7 As 0.000 0.000 0.000
8 As 0.500 0.500 0.500

Record 11
A geometry-optimized Cr4As3 structure. Source: Materials Project, functional PBE-GGA.

Values from the calculation:
Its energy of formation from the pure elements is -0.109 eV/atom. As for the spin magnetization: 0.95 μB per atom. The calculation puts the uncorrected energy at -106.70 eV per cell.

Cell lengths 6.750, 6.750, 9.325 Å; angles 103.15, 103.15, 30.69 degrees
Fractional positions:
1 Cr 0.000 0.000 0.000
2 Cr 0.000 0.000 0.500
3 Cr 0.217 0.217 0.666
4 Cr 0.352 0.352 0.054
5 Cr 0.433 0.433 0.797
6 Cr 0.567 0.567 0.203
7 Cr 0.648 0.648 0.946
8 Cr 0.783 0.783 0.334
9 As 0.062 0.062 0.771
10 As 0.189 0.189 0.150
11 As 0.360 0.360 0.520
12 As 0.640 0.640 0.480
13 As 0.811 0.811 0.850
14 As 0.938 0.938 0.229

Record 12
A geometry-optimized EuCr2As2 structure. Source: Materials Project, functional PBE-GGA.

Values from the calculation:
Its energy of formation from the pure elements is -0.464 eV/atom. As for the spin magnetization: 2.31 μB per atom. The calculation puts the uncorrected energy at -41.20 eV per cell.

Cell lengths 6.606, 6.606, 6.606 Å; angles 144.45, 144.45, 51.16 degrees
Fractional positions:
1 Eu 0.000 0.000 0.000
2 Cr 0.250 0.750 0.500
3 Cr 0.750 0.250 0.500
4 As 0.366 0.366 0.000
5 As 0.634 0.634 0.000

Record 13
A geometry-optimized CrFe2As6 structure. Source: Materials Project, functional PBE-GGA.

Values from the calculation:
Its energy of formation from the pure elements is -0.201 eV/atom. As for the spin magnetization: 0.22 μB per atom. The calculation puts the uncorrected energy at -112.71 eV per cell.

Cell lengths 5.394, 2.900, 18.309 Å; angles 90.00, 90.05, 90.00 degrees
Fractional positions:
1 Cr 0.000 0.000 0.167
2 Cr 0.000 0.000 0.833
3 Fe 0.000 0.000 0.500
4 Fe 0.498 0.500 0.336
5 Fe 0.500 0.500 0.000
6 Fe 0.502 0.500 0.664
7 As 0.179 0.000 0.619
8 As 0.183 0.000 0.957
9 As 0.184 0.000 0.292
10 As 0.320 0.500 0.455
11 As 0.332 0.500 0.784
12 As 0.333 0.500 0.119
13 As 0.667 0.500 0.881
14 As 0.668 0.500 0.216
15 As 0.680 0.500 0.545
16 As 0.816 0.000 0.708
17 As 0.817 0.000 0.043
18 As 0.821 0.000 0.381

Record 14
A geometry-optimized CrFeAs4 structure. Source: Materials Project, functional PBE-GGA.

Values from the calculation:
Its energy of formation from the pure elements is -0.176 eV/atom. As for the spin magnetization: 0.33 μB per atom. The calculation puts the uncorrected energy at -37.81 eV per cell.

Cell lengths 5.447, 2.916, 6.181 Å; angles 90.00, 90.05, 90.00 degrees
Fractional positions:
1 Cr 0.000 0.000 0.000
2 Fe 0.500 0.500 0.500
3 As 0.184 0.000 0.371
4 As 0.332 0.500 0.856
5 As 0.668 0.500 0.144
6 As 0.816 0.000 0.629

Record 15
A geometry-optimized CrFe3As2 structure. Source: Materials Project, functional PBE-GGA.

Values from the calculation:
Its energy of formation from the pure elements is -0.031 eV/atom. As for the spin magnetization: 1.38 μB per atom. The calculation puts the uncorrected energy at -44.57 eV per cell.

Cell lengths 3.667, 3.667, 6.055 Å; angles 90.00, 90.00, 90.00 degrees
Fractional positions:
1 Cr 0.000 0.000 0.000
2 Fe 0.000 0.500 0.324
3 Fe 0.500 0.000 0.676
4 Fe 0.500 0.500 0.000
5 As 0.000 0.500 0.727
6 As 0.500 0.000 0.273

Record 16
A geometry-optimized CrFeAs2 structure. Source: Materials Project, functional PBE-GGA.

Values from the calculation:
Its energy of formation from the pure elements is -0.197 eV/atom. As for the spin magnetization: 0.78 μB per atom. The calculation puts the uncorrected energy at -56.46 eV per cell.

Cell lengths 3.465, 5.473, 6.091 Å; angles 90.00, 90.00, 90.00 degrees
Fractional positions:
1 Cr 0.000 0.244 0.000
2 Cr 0.500 0.756 0.500
3 Fe 0.000 0.747 0.894
4 Fe 0.500 0.253 0.394
5 As 0.000 0.057 0.619
6 As 0.000 0.548 0.280
7 As 0.500 0.452 0.780
8 As 0.500 0.943 0.119

Record 17
A geometry-optimized Cr3FeAs4 structure. Source: Materials Project, functional PBE-GGA.

Values from the calculation:
Its energy of formation from the pure elements is -0.176 eV/atom. As for the spin magnetization: 0.82 μB per atom. The calculation puts the uncorrected energy at -57.47 eV per cell.

Cell lengths 5.609, 3.391, 6.173 Å; angles 90.00, 90.18, 90.00 degrees
Fractional positions:
1 Cr 0.000 0.000 0.000
2 Cr 0.007 0.500 0.397
3 Cr 0.508 0.500 0.501
4 Fe 0.502 0.000 0.896
5 As 0.210 0.500 0.778
6 As 0.304 0.000 0.273
7 As 0.702 0.500 0.122
8 As 0.803 0.000 0.625

Record 18
A geometry-optimized Li2CrFeAs2 structure. Source: Materials Project, functional PBE-GGA.

Values from the calculation:
Its energy of formation from the pure elements is -0.284 eV/atom. As for the spin magnetization: 0.52 μB per atom. The calculation puts the uncorrected energy at -32.96 eV per cell.

Cell lengths 3.927, 3.927, 6.131 Å; angles 90.00, 90.00, 90.00 degrees
Fractional positions:
1 Li 0.000 0.000 0.000
2 Li 0.500 0.500 0.000
3 Cr 0.000 0.000 0.500
4 Fe 0.500 0.500 0.500
5 As 0.000 0.500 0.272
6 As 0.500 0.000 0.728

Record 19
A geometry-optimized MnCrAs structure. Source: Materials Project, functional PBE-GGA.

Values from the calculation:
Its energy of formation from the pure elements is -0.041 eV/atom. As for the spin magnetization: 1.07 μB per atom. The calculation puts the uncorrected energy at -47.19 eV per cell.

Cell lengths 3.578, 3.578, 6.126 Å; angles 90.00, 90.00, 90.00 degrees
Fractional positions:
1 Mn 0.250 0.750 0.000
2 Mn 0.750 0.250 0.000
3 Cr 0.250 0.250 0.335
4 Cr 0.750 0.750 0.665
5 As 0.250 0.250 0.728
6 As 0.750 0.750 0.272

Record 20
A geometry-optimized Mn2CrAs3 structure. Source: Materials Project, functional PBE-GGA.

Values from the calculation:
Its energy of formation from the pure elements is -0.241 eV/atom. As for the spin magnetization: 0.90 μB per atom. The calculation puts the uncorrected energy at -173.60 eV per cell.

Cell lengths 5.573, 3.435, 18.270 Å; angles 90.00, 90.12, 90.00 degrees
Fractional positions:
1 Mn 0.000 0.000 0.000
2 Mn 0.000 0.000 0.331
3 Mn 0.005 0.500 0.536
4 Mn 0.006 0.500 0.204
5 Mn 0.499 0.000 0.702
6 Mn 0.501 0.000 0.036
7 Mn 0.501 0.000 0.370
8 Mn 0.999 0.000 0.663
9 Cr 0.008 0.500 0.869
10 Cr 0.506 0.500 0.166
11 Cr 0.507 0.500 0.498
12 Cr 0.507 0.500 0.832
13 As 0.202 0.500 0.074
14 As 0.202 0.500 0.406
15 As 0.203 0.500 0.740
16 As 0.302 0.000 0.241
17 As 0.303 0.000 0.573
18 As 0.303 0.000 0.908
19 As 0.701 0.500 0.294
20 As 0.701 0.500 0.627
21 As 0.704 0.500 0.961
22 As 0.801 0.000 0.793
23 As 0.806 0.000 0.460
24 As 0.807 0.000 0.127